Entry 1:
{"formula": "Li3MnP2O8", "functional": "PBE with a Hubbard U", "state": "optimized geometry", "lattice_angstrom": [[8.553, 0.000, 0.000], [3.051, 8.106, 0.000], [0.502, 0.317, 9.352]], "species": ["Li", "Li", "Li", "Li", "Li", "Li", "Li", "Li", "Li", "Li", "Li", "Li", "Mn", "Mn", "Mn", "Mn", "P", "P", "P", "P", "P", "P", "P", "P", "O", "O", "O", "O", "O", "O", "O", "O", "O", "O", "O", "O", "O", "O", "O", "O", "O", "O", "O", "O", "O", "O", "O", "O", "O", "O", "O", "O", "O", "O", "O", "O"], "fractional_positions": [[0.000, 0.000, 0.000], [0.001, 0.565, 0.449], [0.246, 0.175, 0.236], [0.260, 0.742, 0.471], [0.297, 0.196, 0.925], [0.322, 0.843, 0.796], [0.360, 0.295, 0.662], [0.512, 0.023, 0.466], [0.554, 0.519, 0.904], [0.574, 0.091, 0.158], [0.785, 0.262, 0.399], [0.797, 0.732, 0.937], [0.174, 0.633, 0.092], [0.639, 0.636, 0.301], [0.900, 0.905, 0.599], [0.911, 0.379, 0.791], [0.134, 0.116, 0.626], [0.154, 0.578, 0.769], [0.405, 0.842, 0.106], [0.410, 0.426, 0.283], [0.648, 0.706, 0.622], [0.692, 0.146, 0.782], [0.848, 0.882, 0.268], [0.971, 0.383, 0.121], [0.031, 0.195, 0.134], [0.062, 0.681, 0.896], [0.064, 0.668, 0.632], [0.093, 0.975, 0.554], [0.134, 0.402, 0.782], [0.137, 0.422, 0.111], [0.159, 0.073, 0.788], [0.247, 0.823, 0.039], [0.254, 0.535, 0.365], [0.287, 0.140, 0.547], [0.342, 0.540, 0.763], [0.387, 0.026, 0.091], [0.404, 0.487, 0.120], [0.404, 0.787, 0.269], [0.433, 0.241, 0.296], [0.457, 0.766, 0.616], [0.507, 0.174, 0.810], [0.564, 0.729, 0.030], [0.573, 0.443, 0.339], [0.678, 0.846, 0.282], [0.689, 0.869, 0.603], [0.718, 0.619, 0.765], [0.723, 0.303, 0.833], [0.740, 0.134, 0.615], [0.740, 0.591, 0.499], [0.788, 0.070, 0.257], [0.812, 0.991, 0.857], [0.869, 0.457, 0.987], [0.870, 0.469, 0.255], [0.942, 0.801, 0.130], [0.956, 0.805, 0.395], [0.978, 0.279, 0.607]], "relative_energy_ev_per_atom": 0.059, "total_magnetization_mub_per_fu": 4.0, "mass_density_g_cm3": 2.7, "total_energy_ev_per_atom": -6.697, "e_form_ev_per_atom": -2.544}


Entry 2:
{"formula": "Li4V3Co3Sb2O16", "functional": "PBE with a Hubbard U", "state": "optimized geometry", "lattice_angstrom": [[5.959, 0.000, 0.000], [-2.974, 5.212, 0.000], [-0.033, -0.161, 9.744]], "species": ["Li", "Li", "Li", "Li", "V", "V", "V", "Co", "Co", "Co", "Sb", "Sb", "O", "O", "O", "O", "O", "O", "O", "O", "O", "O", "O", "O", "O", "O", "O", "O"], "fractional_positions": [[0.000, 0.000, 0.000], [0.008, 0.005, 0.512], [0.342, 0.684, 0.599], [0.674, 0.343, 0.089], [0.175, 0.834, 0.274], [0.659, 0.822, 0.286], [0.827, 0.654, 0.774], [0.175, 0.347, 0.288], [0.346, 0.179, 0.785], [0.833, 0.178, 0.785], [0.333, 0.668, 0.002], [0.661, 0.325, 0.510], [0.000, 0.985, 0.193], [0.047, 0.534, 0.153], [0.166, 0.832, 0.904], [0.167, 0.328, 0.912], [0.331, 0.166, 0.399], [0.344, 0.707, 0.390], [0.482, 0.967, 0.156], [0.506, 0.547, 0.158], [0.522, 0.044, 0.646], [0.531, 0.502, 0.642], [0.666, 0.831, 0.905], [0.691, 0.378, 0.890], [0.824, 0.152, 0.396], [0.831, 0.666, 0.392], [0.971, 0.502, 0.641], [0.988, 0.978, 0.699]], "total_magnetization_mub_per_fu": 10.0, "mass_density_g_cm3": 4.7, "total_energy_ev_per_atom": -6.475, "e_form_ev_per_atom": -2.095}


Entry 3:
{"formula": "Y4V13Si2Sb2O28", "functional": "PBE with a Hubbard U", "state": "optimized geometry", "lattice_angstrom": [[5.907, 0.000, 0.000], [1.582, 8.959, 0.000], [2.948, 0.024, 12.061]], "species": ["Y", "Y", "Y", "Y", "V", "V", "V", "V", "V", "V", "V", "V", "V", "V", "V", "V", "V", "Si", "Si", "Sb", "Sb", "O", "O", "O", "O", "O", "O", "O", "O", "O", "O", "O", "O", "O", "O", "O", "O", "O", "O", "O", "O", "O", "O", "O", "O", "O", "O", "O", "O"], "fractional_positions": [[0.000, 0.000, 0.000], [0.007, 0.682, 0.823], [0.418, 0.681, 0.999], [0.587, 0.001, 0.825], [0.074, 0.343, 0.264], [0.145, 0.685, 0.535], [0.145, 0.984, 0.677], [0.215, 0.341, 0.988], [0.269, 0.683, 0.293], [0.410, 0.983, 0.148], [0.504, 0.341, 0.412], [0.600, 0.696, 0.676], [0.739, 0.998, 0.532], [0.791, 0.341, 0.835], [0.859, 0.998, 0.292], [0.864, 0.698, 0.148], [0.932, 0.340, 0.557], [0.269, 0.031, 0.412], [0.737, 0.650, 0.412], [0.359, 0.340, 0.694], [0.638, 0.341, 0.129], [0.044, 0.217, 0.686], [0.045, 0.732, 0.991], [0.100, 0.446, 0.837], [0.103, 0.950, 0.519], [0.193, 0.213, 0.413], [0.198, 0.458, 0.540], [0.210, 0.952, 0.305], [0.256, 0.730, 0.672], [0.326, 0.457, 0.284], [0.332, 0.216, 0.135], [0.381, 0.948, 0.992], [0.457, 0.691, 0.412], [0.480, 0.236, 0.838], [0.501, 0.955, 0.670], [0.506, 0.729, 0.154], [0.526, 0.446, 0.984], [0.550, 0.989, 0.412], [0.624, 0.733, 0.830], [0.682, 0.223, 0.540], [0.685, 0.468, 0.686], [0.759, 0.952, 0.154], [0.792, 0.730, 0.521], [0.810, 0.223, 0.283], [0.815, 0.468, 0.411], [0.905, 0.731, 0.306], [0.906, 0.235, 0.985], [0.960, 0.949, 0.832], [0.971, 0.466, 0.137]], "total_magnetization_mub_per_fu": 35.0, "mass_density_g_cm3": 4.6, "total_energy_ev_per_atom": -7.811, "e_form_ev_per_atom": -2.500}


Entry 4:
{"formula": "BaSrPrCoO6", "functional": "PBE with a Hubbard U", "state": "optimized geometry", "lattice_angstrom": [[0.000, 4.175, 4.175], [4.175, 0.000, 4.175], [4.175, 4.175, 0.000]], "species": ["Ba", "Sr", "Pr", "Co", "O", "O", "O", "O", "O", "O"], "fractional_positions": [[0.000, 0.000, 0.000], [0.500, 0.500, 0.500], [0.250, 0.250, 0.250], [0.750, 0.750, 0.750], [0.526, 0.526, 0.974], [0.526, 0.974, 0.526], [0.526, 0.974, 0.974], [0.974, 0.526, 0.526], [0.974, 0.526, 0.974], [0.974, 0.974, 0.526]], "relative_energy_ev_per_atom": 0.030, "total_magnetization_mub_per_fu": 2.0, "mass_density_g_cm3": 5.9, "total_energy_ev_per_atom": -6.377, "e_form_ev_per_atom": -2.435}


Entry 5:
{"formula": "Fe3Co2NiP6O24", "functional": "PBE with a Hubbard U", "state": "optimized geometry", "lattice_angstrom": [[4.315, 2.491, 6.765], [-4.315, 2.491, 6.765], [0.000, -4.983, 6.765]], "species": ["Fe", "Fe", "Fe", "Co", "Co", "Ni", "P", "P", "P", "P", "P", "P", "O", "O", "O", "O", "O", "O", "O", "O", "O", "O", "O", "O", "O", "O", "O", "O", "O", "O", "O", "O", "O", "O", "O", "O"], "fractional_positions": [[0.000, 0.000, 0.000], [0.210, 0.210, 0.210], [0.710, 0.710, 0.710], [0.355, 0.355, 0.355], [0.855, 0.855, 0.855], [0.497, 0.497, 0.497], [0.107, 0.805, 0.402], [0.308, 0.604, 0.903], [0.402, 0.107, 0.805], [0.604, 0.903, 0.308], [0.805, 0.402, 0.107], [0.903, 0.308, 0.604], [0.030, 0.850, 0.248], [0.104, 0.758, 0.921], [0.108, 0.295, 0.448], [0.181, 0.960, 0.358], [0.248, 0.030, 0.850], [0.260, 0.601, 0.415], [0.295, 0.448, 0.108], [0.344, 0.533, 0.750], [0.358, 0.181, 0.960], [0.415, 0.260, 0.601], [0.448, 0.108, 0.295], [0.463, 0.678, 0.860], [0.533, 0.750, 0.344], [0.601, 0.415, 0.260], [0.605, 0.952, 0.793], [0.678, 0.860, 0.463], [0.750, 0.344, 0.533], [0.758, 0.921, 0.104], [0.793, 0.605, 0.952], [0.850, 0.248, 0.030], [0.860, 0.463, 0.678], [0.921, 0.104, 0.758], [0.952, 0.793, 0.605], [0.960, 0.358, 0.181]], "total_magnetization_mub_per_fu": 20.5, "mass_density_g_cm3": 3.5, "total_energy_ev_per_atom": -6.768, "e_form_ev_per_atom": -2.114}


Entry 6:
{"formula": "MgV2O4", "functional": "PBE with a Hubbard U", "state": "optimized geometry", "lattice_angstrom": [[5.218, -3.031, 0.000], [5.218, 3.031, 0.000], [-3.503, 0.000, 4.929]], "species": ["Mg", "Mg", "V", "V", "V", "V", "O", "O", "O", "O", "O", "O", "O", "O"], "fractional_positions": [[0.000, 0.500, 0.000], [0.500, 0.000, 0.000], [0.000, 0.000, 0.000], [0.000, 0.000, 0.500], [0.370, 0.370, 0.619], [0.630, 0.630, 0.381], [0.232, 0.761, 0.247], [0.237, 0.237, 0.226], [0.238, 0.238, 0.750], [0.239, 0.768, 0.753], [0.761, 0.232, 0.247], [0.762, 0.762, 0.250], [0.763, 0.763, 0.774], [0.768, 0.239, 0.753]], "relative_energy_ev_per_atom": 0.049, "total_magnetization_mub_per_fu": 2.0, "mass_density_g_cm3": 4.1, "total_energy_ev_per_atom": -7.430, "e_form_ev_per_atom": -2.657}


Entry 7:
{"formula": "LiFeBO3", "functional": "PBE with a Hubbard U", "state": "optimized geometry", "lattice_angstrom": [[2.603, -4.526, 0.000], [2.603, 4.526, 0.000], [-0.321, 0.000, 10.367]], "species": ["Li", "Li", "Li", "Li", "Fe", "Fe", "Fe", "Fe", "B", "B", "B", "B", "O", "O", "O", "O", "O", "O", "O", "O", "O", "O", "O", "O"], "fractional_positions": [[0.009, 0.991, 0.500], [0.668, 0.686, 0.749], [0.686, 0.668, 0.249], [0.991, 0.009, 0.000], [0.004, 0.336, 0.717], [0.336, 0.004, 0.217], [0.336, 0.656, 0.465], [0.656, 0.336, 0.965], [0.008, 0.341, 0.208], [0.332, 0.668, 0.959], [0.341, 0.008, 0.708], [0.668, 0.332, 0.459], [0.068, 0.991, 0.695], [0.076, 0.398, 0.930], [0.274, 0.590, 0.249], [0.313, 0.914, 0.999], [0.363, 0.758, 0.679], [0.398, 0.076, 0.430], [0.590, 0.274, 0.749], [0.608, 0.692, 0.946], [0.692, 0.608, 0.446], [0.758, 0.363, 0.179], [0.914, 0.313, 0.499], [0.991, 0.068, 0.195]], "relative_energy_ev_per_atom": 0.000, "total_magnetization_mub_per_fu": 4.0, "mass_density_g_cm3": 3.3, "total_energy_ev_per_atom": -6.930, "e_form_ev_per_atom": -2.332}


Entry 8:
{"formula": "Ca8Ti2Mn6O23", "functional": "PBE with a Hubbard U", "state": "optimized geometry", "lattice_angstrom": [[10.765, 0.000, 0.000], [-0.064, 10.916, 0.000], [-0.018, -0.009, 15.410]], "species": ["Ca", "Ca", "Ca", "Ca", "Ca", "Ca", "Ca", "Ca", "Ca", "Ca", "Ca", "Ca", "Ca", "Ca", "Ca", "Ca", "Ca", "Ca", "Ca", "Ca", "Ca", "Ca", "Ca", "Ca", "Ca", "Ca", "Ca", "Ca", "Ca", "Ca", "Ca", "Ca", "Ti", "Ti", "Ti", "Ti", "Ti", "Ti", "Ti", "Ti", "Mn", "Mn", "Mn", "Mn", "Mn", "Mn", "Mn", "Mn", "Mn", "Mn", "Mn", "Mn", "Mn", "Mn", "Mn", "Mn", "Mn", "Mn", "Mn", "Mn", "Mn", "Mn", "Mn", "Mn", "O", "O", "O", "O", "O", "O", "O", "O", "O", "O", "O", "O", "O", "O", "O", "O", "O", "O", "O", "O", "O", "O", "O", "O", "O", "O", "O", "O", "O", "O", "O", "O", "O", "O", "O", "O", "O", "O", "O", "O", "O", "O", "O", "O", "O", "O", "O", "O", "O", "O", "O", "O", "O", "O", "O", "O", "O", "O", "O", "O", "O", "O", "O", "O", "O", "O", "O", "O", "O", "O", "O", "O", "O", "O", "O", "O", "O", "O", "O", "O", "O", "O", "O", "O", "O", "O", "O", "O", "O", "O", "O", "O"], "fractional_positions": [[0.000, 0.000, 0.000], [0.000, 0.440, 0.736], [0.000, 0.446, 0.251], [0.000, 0.480, 0.988], [0.002, 0.953, 0.253], [0.009, 0.955, 0.732], [0.232, 0.747, 0.988], [0.235, 0.701, 0.252], [0.240, 0.196, 0.739], [0.242, 0.195, 0.248], [0.246, 0.704, 0.732], [0.248, 0.238, 0.993], [0.250, 0.243, 0.494], [0.254, 0.744, 0.492], [0.469, 0.008, 0.991], [0.489, 0.993, 0.492], [0.491, 0.493, 0.494], [0.491, 0.959, 0.735], [0.492, 0.963, 0.253], [0.494, 0.483, 0.985], [0.496, 0.439, 0.255], [0.501, 0.444, 0.737], [0.740, 0.200, 0.252], [0.740, 0.700, 0.738], [0.742, 0.202, 0.734], [0.748, 0.246, 0.986], [0.748, 0.702, 0.259], [0.750, 0.242, 0.493], [0.750, 0.746, 0.494], [0.760, 0.713, 0.989], [0.992, 0.491, 0.494], [0.994, 0.998, 0.493], [0.007, 0.703, 0.859], [0.245, 0.460, 0.121], [0.253, 0.460, 0.864], [0.462, 0.728, 0.112], [0.492, 0.723, 0.865], [0.745, 0.467, 0.861], [0.762, 0.459, 0.120], [0.994, 0.716, 0.122], [0.240, 0.975, 0.120], [0.244, 0.973, 0.867], [0.245, 0.971, 0.370], [0.246, 0.472, 0.617], [0.246, 0.473, 0.370], [0.247, 0.971, 0.615], [0.494, 0.218, 0.865], [0.496, 0.220, 0.371], [0.496, 0.221, 0.119], [0.496, 0.221, 0.617], [0.499, 0.722, 0.616], [0.500, 0.721, 0.370], [0.739, 0.978, 0.856], [0.745, 0.471, 0.371], [0.746, 0.472, 0.615], [0.746, 0.971, 0.372], [0.747, 0.971, 0.615], [0.755, 0.987, 0.124], [0.995, 0.722, 0.616], [0.996, 0.215, 0.868], [0.996, 0.221, 0.616], [0.996, 0.222, 0.369], [0.996, 0.722, 0.372], [0.997, 0.219, 0.120], [0.010, 0.716, 0.988], [0.033, 0.216, 0.492], [0.036, 0.215, 0.994], [0.038, 0.706, 0.494], [0.087, 0.574, 0.132], [0.091, 0.071, 0.138], [0.094, 0.069, 0.848], [0.100, 0.578, 0.641], [0.100, 0.579, 0.347], [0.101, 0.079, 0.350], [0.102, 0.571, 0.845], [0.103, 0.079, 0.633], [0.133, 0.825, 0.132], [0.136, 0.827, 0.852], [0.139, 0.827, 0.349], [0.139, 0.827, 0.637], [0.141, 0.324, 0.847], [0.141, 0.329, 0.346], [0.141, 0.329, 0.640], [0.145, 0.323, 0.140], [0.206, 0.461, 0.493], [0.210, 0.960, 0.492], [0.211, 0.460, 0.992], [0.211, 0.965, 0.994], [0.278, 0.977, 0.243], [0.278, 0.977, 0.742], [0.281, 0.486, 0.243], [0.285, 0.483, 0.742], [0.335, 0.623, 0.098], [0.344, 0.119, 0.887], [0.346, 0.122, 0.099], [0.348, 0.620, 0.383], [0.348, 0.620, 0.600], [0.350, 0.116, 0.388], [0.351, 0.116, 0.598], [0.356, 0.617, 0.894], [0.391, 0.865, 0.891], [0.392, 0.369, 0.386], [0.392, 0.369, 0.598], [0.392, 0.876, 0.097], [0.393, 0.365, 0.884], [0.393, 0.867, 0.381], [0.393, 0.867, 0.600], [0.396, 0.373, 0.101], [0.457, 0.227, 0.742], [0.461, 0.223, 0.244], [0.465, 0.735, 0.748], [0.510, 0.724, 0.225], [0.532, 0.217, 0.992], [0.533, 0.212, 0.494], [0.533, 0.712, 0.497], [0.557, 0.698, 0.016], [0.590, 0.073, 0.853], [0.595, 0.061, 0.128], [0.600, 0.574, 0.351], [0.601, 0.576, 0.852], [0.601, 0.578, 0.640], [0.603, 0.078, 0.349], [0.604, 0.079, 0.640], [0.639, 0.333, 0.140], [0.641, 0.323, 0.849], [0.641, 0.327, 0.349], [0.641, 0.329, 0.638], [0.641, 0.829, 0.641], [0.642, 0.828, 0.353], [0.659, 0.824, 0.868], [0.704, 0.963, 0.495], [0.705, 0.459, 0.494], [0.713, 0.470, 0.997], [0.774, 0.484, 0.245], [0.780, 0.968, 0.245], [0.781, 0.478, 0.741], [0.794, 0.977, 0.741], [0.829, 0.623, 0.112], [0.847, 0.127, 0.092], [0.847, 0.619, 0.389], [0.847, 0.619, 0.598], [0.849, 0.118, 0.387], [0.850, 0.117, 0.597], [0.852, 0.099, 0.898], [0.853, 0.614, 0.878], [0.860, 0.868, 0.079], [0.889, 0.360, 0.887], [0.892, 0.369, 0.599], [0.892, 0.370, 0.386], [0.892, 0.867, 0.593], [0.893, 0.867, 0.391], [0.900, 0.372, 0.099], [0.954, 0.740, 0.744], [0.955, 0.230, 0.243], [0.957, 0.225, 0.743], [0.960, 0.736, 0.243]], "relative_energy_ev_per_atom": 0.000, "total_magnetization_mub_per_fu": 20.0, "mass_density_g_cm3": 4.1, "total_energy_ev_per_atom": -7.255, "e_form_ev_per_atom": -2.773}


> Which formula does entry 7 have?

LiFeBO3